Entry from the Materials Project: crystalline Nd3OsO7 at its relaxed geometry (r²SCAN).

Cell: 6.624 6.624 7.560 Å, 90.00 90.00 111.62°
Element x y z (fractional)
O: 0.189 0.440 0.540
O: 0.104 0.841 0.750
O: 0.560 0.811 0.040
Nd: 0.917 0.471 0.750
Nd: 0.000 0.000 0.500
Nd: 0.471 0.917 0.750
O: 0.159 0.896 0.250
O: 0.841 0.104 0.750
O: 0.440 0.189 0.540
O: 0.584 0.584 0.750
O: 0.811 0.560 0.040
Nd: 0.000 0.000 0.000
O: 0.896 0.159 0.250
O: 0.416 0.416 0.250
Nd: 0.083 0.529 0.250
O: 0.189 0.440 0.960
Os: 0.500 0.500 0.000
Nd: 0.529 0.083 0.250
O: 0.560 0.811 0.460
O: 0.811 0.560 0.460
O: 0.440 0.189 0.960
Os: 0.500 0.500 0.500

Its formation energy is -2943 meV per atom. The value obtained for the total magnetization is 3.00 μB per formula unit.